1.
A geometry-optimized Zn2SnN2 structure. Source: the Materials Project database, functional PBE.

Results
The energy is -4.477 eV/atom. Its calculated volume is 15.41 Å³/atom. For the energy relative to the elements, the calculation gives 0.019 eV/atom.

Unit cell a=6.239 b=6.239 c=7.886 alpha=73.68 beta=73.68 gamma=31.68
Fractional coordinates of all 10 atoms:
Zn  0.652  0.652  0.488
Zn  0.044  0.044  0.257
Zn  0.348  0.348  0.512
Zn  0.956  0.956  0.743
N  0.542  0.542  0.738
N  0.818  0.818  0.646
N  0.182  0.182  0.354
N  0.458  0.458  0.262
Sn  0.670  0.670  0.875
Sn  0.330  0.330  0.125

***

2.
A geometry-optimized Mo6PbBr14 structure. Source: the Materials Project database, functional PBE.

Results
The energy is -5.103 eV/atom. Its calculated volume is 31.78 Å³/atom. For the energy relative to the elements, the calculation gives -1.092 eV/atom.

Unit cell a=13.872 b=13.872 c=13.872 alpha=90.00 beta=90.00 gamma=90.00
Fractional coordinates of all 84 atoms:
Mo  0.785  0.878  0.723
Mo  0.785  0.122  0.277
Mo  0.277  0.215  0.878
Mo  0.285  0.622  0.223
Mo  0.878  0.723  0.785
Mo  0.223  0.715  0.378
Mo  0.622  0.223  0.285
Mo  0.223  0.285  0.622
Mo  0.878  0.277  0.215
Mo  0.622  0.777  0.715
Mo  0.715  0.622  0.777
Mo  0.715  0.378  0.223
Mo  0.723  0.785  0.878
Mo  0.378  0.777  0.285
Mo  0.777  0.715  0.622
Mo  0.277  0.785  0.122
Mo  0.122  0.723  0.215
Mo  0.723  0.215  0.122
Mo  0.378  0.223  0.715
Mo  0.215  0.878  0.277
Mo  0.777  0.285  0.378
Mo  0.215  0.122  0.723
Mo  0.285  0.378  0.777
Mo  0.122  0.277  0.785
Br  0.057  0.321  0.162
Br  0.369  0.063  0.814
Br  0.384  0.616  0.384
Br  0.557  0.179  0.662
Br  0.063  0.186  0.631
Br  0.321  0.838  0.943
Br  0.821  0.338  0.557
Br  0.662  0.557  0.179
Br  0.162  0.943  0.679
Br  0.686  0.869  0.563
Br  0.869  0.563  0.686
Br  0.937  0.186  0.369
Br  0.563  0.686  0.869
Br  0.369  0.937  0.186
Br  0.384  0.384  0.616
Br  0.063  0.814  0.369
Br  0.937  0.814  0.631
Br  0.838  0.943  0.321
Br  0.884  0.116  0.116
Br  0.437  0.314  0.869
Br  0.131  0.563  0.314
Br  0.563  0.314  0.131
Br  0.631  0.937  0.814
Br  0.314  0.131  0.563
Br  0.338  0.443  0.179
Br  0.884  0.884  0.884
Br  0.057  0.679  0.838
Br  0.821  0.662  0.443
Br  0.443  0.821  0.662
Br  0.662  0.443  0.821
Br  0.338  0.557  0.821
Br  0.686  0.131  0.437
Br  0.943  0.321  0.838
Br  0.838  0.057  0.679
Br  0.814  0.369  0.063
Br  0.162  0.057  0.321
Br  0.616  0.384  0.384
Br  0.321  0.162  0.057
Br  0.616  0.616  0.616
Br  0.679  0.162  0.943
Br  0.186  0.369  0.937
Br  0.557  0.821  0.338
Br  0.437  0.686  0.131
Br  0.179  0.338  0.443
Br  0.131  0.437  0.686
Br  0.116  0.884  0.116
Br  0.631  0.063  0.186
Br  0.179  0.662  0.557
Br  0.314  0.869  0.437
Br  0.869  0.437  0.314
Br  0.679  0.838  0.057
Br  0.186  0.631  0.063
Br  0.116  0.116  0.884
Br  0.443  0.179  0.338
Br  0.814  0.631  0.937
Br  0.943  0.679  0.162
Pb  0.750  0.250  0.750
Pb  0.250  0.750  0.750
Pb  0.250  0.250  0.250
Pb  0.750  0.750  0.250

***

3.
A geometry-optimized Pr2MgBi4O12 structure. Source: the Materials Project database, functional PBE.

Results
The energy is -6.253 eV/atom. Its calculated volume is 15.89 Å³/atom. For the energy relative to the elements, the calculation gives -2.155 eV/atom.

Unit cell a=5.765 b=6.193 c=8.463 alpha=88.24 beta=88.76 gamma=91.39
Fractional coordinates of all 19 atoms:
O  0.304  0.698  0.979
O  0.184  0.178  0.573
O  0.647  0.339  0.439
O  0.351  0.968  0.249
O  0.704  0.315  0.096
O  0.931  0.539  0.770
O  0.818  0.789  0.063
O  0.133  0.432  0.249
O  0.646  0.014  0.720
O  0.127  0.152  0.974
O  0.787  0.856  0.388
O  0.293  0.743  0.547
Pr  0.519  0.597  0.246
Pr  0.027  0.916  0.755
Bi  0.007  0.474  0.510
Bi  0.506  0.033  0.991
Bi  0.501  0.028  0.487
Bi  0.011  0.482  0.009
Mg  0.005  0.999  0.206

***

4.
A geometry-optimized CaTiBiO5 structure. Source: the Materials Project database, functional PBE.

Results
The energy is -7.060 eV/atom. Its calculated volume is 15.88 Å³/atom. The energy above the most stable polymorph in this dataset comes out at 0.038 eV per atom. For the energy relative to the elements, the calculation gives -2.673 eV/atom.

Unit cell a=5.593 b=11.344 c=16.015 alpha=90.00 beta=90.00 gamma=90.00
Fractional coordinates of all 64 atoms:
O  0.637  0.190  0.525
O  0.863  0.690  0.475
O  0.609  0.806  0.306
O  0.716  0.961  0.942
O  0.863  0.190  0.025
O  0.756  0.720  0.654
O  0.244  0.280  0.346
O  0.808  0.982  0.144
O  0.308  0.518  0.144
O  0.391  0.694  0.806
O  0.891  0.806  0.806
O  0.391  0.194  0.694
O  0.891  0.306  0.694
O  0.284  0.539  0.442
O  0.363  0.810  0.475
O  0.137  0.310  0.525
O  0.609  0.306  0.194
O  0.244  0.780  0.154
O  0.363  0.310  0.025
O  0.784  0.461  0.058
O  0.137  0.810  0.975
O  0.109  0.694  0.306
O  0.256  0.780  0.654
O  0.808  0.482  0.356
O  0.744  0.220  0.346
O  0.284  0.039  0.058
O  0.256  0.280  0.846
O  0.744  0.720  0.154
O  0.192  0.518  0.644
O  0.716  0.461  0.558
O  0.109  0.194  0.194
O  0.784  0.961  0.442
O  0.637  0.690  0.975
O  0.692  0.482  0.856
O  0.216  0.539  0.942
O  0.756  0.220  0.846
O  0.216  0.039  0.558
O  0.308  0.018  0.356
O  0.692  0.982  0.644
O  0.192  0.018  0.856
Ca  0.505  0.140  0.954
Ca  0.005  0.360  0.954
Ca  0.495  0.360  0.454
Ca  0.995  0.640  0.046
Ca  0.505  0.640  0.546
Ca  0.005  0.860  0.546
Ca  0.995  0.140  0.454
Ca  0.495  0.860  0.046
Ti  0.013  0.600  0.402
Ti  0.513  0.900  0.402
Ti  0.513  0.400  0.098
Ti  0.487  0.100  0.598
Ti  0.013  0.100  0.098
Ti  0.487  0.600  0.902
Ti  0.987  0.400  0.598
Ti  0.987  0.900  0.902
Bi  0.937  0.842  0.229
Bi  0.063  0.158  0.771
Bi  0.937  0.342  0.271
Bi  0.437  0.158  0.271
Bi  0.063  0.658  0.729
Bi  0.563  0.842  0.729
Bi  0.437  0.658  0.229
Bi  0.563  0.342  0.771

***

5.
A geometry-optimized Li8Ti2O7 structure. Source: the Materials Project database, functional PBE.

Results
The energy is -6.011 eV/atom. Its calculated volume is 10.39 Å³/atom. For the energy relative to the elements, the calculation gives -2.429 eV/atom.

Unit cell a=10.243 b=7.743 c=9.436 alpha=70.83 beta=90.00 gamma=90.00
Fractional coordinates of all 68 atoms:
Li  0.961  0.553  0.349
Li  0.040  0.147  0.571
Li  0.775  0.695  0.105
Li  0.957  0.923  0.141
Li  0.726  0.504  0.387
Li  0.493  0.642  0.533
Li  0.274  0.496  0.613
Li  0.507  0.358  0.467
Li  0.043  0.077  0.859
Li  0.201  0.919  0.524
Li  0.725  0.695  0.605
Li  0.299  0.919  0.024
Li  0.799  0.081  0.476
Li  0.225  0.305  0.895
Li  0.039  0.447  0.651
Li  0.539  0.553  0.849
Li  0.045  0.729  0.716
Li  0.540  0.853  0.929
Li  0.461  0.447  0.151
Li  0.543  0.923  0.641
Li  0.007  0.642  0.033
Li  0.226  0.496  0.113
Li  0.993  0.358  0.967
Li  0.701  0.081  0.976
Li  0.460  0.147  0.071
Li  0.774  0.504  0.887
Li  0.455  0.729  0.216
Li  0.545  0.271  0.784
Li  0.960  0.853  0.429
Li  0.955  0.271  0.284
Li  0.275  0.305  0.395
Li  0.457  0.077  0.359
O  0.635  0.449  0.590
O  0.902  0.876  0.954
O  0.390  0.617  0.719
O  0.598  0.876  0.454
O  0.135  0.551  0.910
O  0.663  0.736  0.801
O  0.121  0.671  0.523
O  0.110  0.617  0.219
O  0.610  0.383  0.281
O  0.616  0.856  0.117
O  0.169  0.911  0.725
O  0.879  0.329  0.477
O  0.402  0.124  0.546
O  0.831  0.089  0.275
O  0.884  0.856  0.617
O  0.163  0.264  0.699
O  0.837  0.736  0.301
O  0.621  0.329  0.977
O  0.116  0.144  0.383
O  0.669  0.089  0.775
O  0.890  0.383  0.781
O  0.865  0.449  0.090
O  0.384  0.144  0.883
O  0.379  0.671  0.023
O  0.098  0.124  0.046
O  0.365  0.551  0.410
O  0.337  0.264  0.199
O  0.331  0.911  0.225
Ti  0.791  0.293  0.662
Ti  0.307  0.092  0.720
Ti  0.709  0.293  0.162
Ti  0.693  0.908  0.280
Ti  0.209  0.707  0.338
Ti  0.291  0.707  0.838
Ti  0.193  0.092  0.220
Ti  0.807  0.908  0.780

***

6.
A geometry-optimized HfCu3 structure. Source: the Materials Project database, functional PBE.

Results
The energy is -5.653 eV/atom. Its calculated volume is 14.22 Å³/atom. For the energy relative to the elements, the calculation gives -0.090 eV/atom.

Unit cell a=4.541 b=4.541 c=4.541 alpha=127.72 beta=127.72 gamma=77.08
Fractional coordinates of all 4 atoms:
Cu  0.500  0.500  0.000
Cu  0.750  0.250  0.500
Cu  0.250  0.750  0.500
Hf  0.000  0.000  0.000

***

7.
A geometry-optimized Ba2CaCeGd2Ti2Cu2O14 structure. Source: the Materials Project database, functional PBE.

Results
The energy is -8.309 eV/atom. Its calculated volume is 13.18 Å³/atom. For the energy relative to the elements, the calculation gives -3.160 eV/atom.

Unit cell a=3.905 b=3.905 c=20.752 alpha=90.00 beta=90.00 gamma=90.00
Fractional coordinates of all 24 atoms:
Gd  0.250  0.250  0.440
Gd  0.750  0.750  0.937
Ce  0.250  0.250  0.060
O  0.250  0.750  0.640
O  0.250  0.750  0.864
O  0.250  0.250  0.738
O  0.250  0.750  0.002
O  0.750  0.250  0.137
O  0.250  0.750  0.362
O  0.250  0.250  0.542
O  0.750  0.750  0.263
O  0.750  0.250  0.002
O  0.250  0.750  0.137
O  0.750  0.250  0.362
O  0.750  0.250  0.640
O  0.750  0.250  0.864
O  0.750  0.750  0.453
Ca  0.750  0.750  0.566
Cu  0.250  0.250  0.853
Cu  0.750  0.750  0.145
Ba  0.750  0.750  0.755
Ba  0.250  0.250  0.242
Ti  0.250  0.250  0.648
Ti  0.750  0.750  0.353

***

8.
A geometry-optimized Zr9Ti3P4 structure. Source: the Materials Project database, functional PBE.

Results
The energy is -8.047 eV/atom. Its calculated volume is 20.26 Å³/atom. For the energy relative to the elements, the calculation gives -0.405 eV/atom.

Unit cell a=3.550 b=3.993 c=22.873 alpha=90.00 beta=90.00 gamma=90.00
Fractional coordinates of all 16 atoms:
Zr  0.000  0.000  0.012
Zr  0.500  0.000  0.462
Zr  0.500  0.000  0.193
Zr  0.500  0.500  0.340
Zr  0.000  0.500  0.225
Zr  0.500  0.000  0.823
Zr  0.500  0.500  0.096
Zr  0.000  0.000  0.337
Zr  0.000  0.000  0.641
Ti  0.000  0.500  0.537
Ti  0.500  0.500  0.721
Ti  0.000  0.500  0.906
P  0.000  0.500  0.797
P  0.500  0.500  0.612
P  0.500  0.500  0.981
P  0.000  0.500  0.428